(1)
A geometry-optimized CaEu3 structure, computed with meta-GGA r2SCAN.

POSCAR file:
```
CaEu3
1.0
0.000 4.465 4.465
4.465 0.000 4.465
4.465 4.465 0.000
Ca Eu
1 3
Cartesian
0.000 0.000 0.000 Ca
2.232 2.232 2.232 Eu
6.697 6.697 6.697 Eu
4.465 4.465 4.465 Eu
```

Calculated values
E_form ... 0.037 eV/atom
E ... -122.45 eV/cell
Total magnetic moment ... 23.77 μB/cell

(2)
A geometry-optimized Ta2AgF12 structure, computed with meta-GGA r2SCAN.

POSCAR file:
```
Ta2AgF12
1.0
5.063 -0.017 0.154
2.398 4.781 1.309
0.054 -0.038 8.930
Ta Ag F
2 1 12
Cartesian
2.437 2.446 7.158 Ta
5.079 2.280 3.236 Ta
0.000 0.000 0.000 Ag
1.525 1.221 2.822 F
5.991 3.505 7.572 F
5.823 3.475 1.780 F
3.269 3.529 5.908 F
4.247 1.197 4.486 F
1.635 1.284 5.949 F
5.881 3.442 4.445 F
4.007 1.382 7.428 F
3.508 3.344 2.966 F
3.180 3.473 8.716 F
4.336 1.253 1.678 F
1.693 1.251 8.614 F
```

Calculated values
E_form ... -2.998 eV/atom
E ... -201.03 eV/cell
Total magnetic moment ... 1.00 μB/cell

(3)
A geometry-optimized HoErHg2 structure, computed with meta-GGA r2SCAN.

POSCAR file:
```
HoErHg2
1.0
2.867 0.119 4.316
0.862 4.504 2.414
-2.241 0.959 4.574
Ho Er Hg
1 1 2
Cartesian
0.000 0.000 0.000 Ho
0.744 2.791 5.652 Er
0.372 1.396 2.826 Hg
1.116 4.187 8.478 Hg
```

Calculated values
E_form ... -0.573 eV/atom
E ... -167.83 eV/cell
Total magnetic moment ... 0.00 μB/cell

(4)
A geometry-optimized BaMg2P2 structure, computed with meta-GGA r2SCAN.

POSCAR file:
```
BaMg2P2
1.0
-1.204 4.176 0.494
0.747 -2.491 3.517
7.326 2.118 -0.055
Ba Mg P
1 2 2
Cartesian
0.000 0.000 0.000 Ba
2.217 2.755 1.481 Mg
4.652 1.048 2.475 Mg
4.730 3.482 1.462 P
2.139 0.322 2.494 P
```

Calculated values
E_form ... -1.081 eV/atom
E ... -58.25 eV/cell
Total magnetic moment ... 0.00 μB/cell

(5)
A geometry-optimized EuNiGe3 structure, computed with meta-GGA r2SCAN.

POSCAR file:
```
EuNiGe3
1.0
-2.166 2.166 4.906
2.166 -2.166 4.906
2.166 2.166 -4.906
Eu Ni Ge
1 1 3
Cartesian
0.000 0.000 0.016 Eu
0.000 0.000 3.395 Ni
2.166 0.000 2.427 Ge
0.000 2.166 2.427 Ge
0.000 0.000 5.723 Ge
```

Calculated values
E_form ... -0.533 eV/atom
E ... -94.78 eV/cell
Total magnetic moment ... 6.81 μB/cell

(6)
A geometry-optimized K3Cu2P4HO14 structure, computed with meta-GGA r2SCAN.

POSCAR file:
```
K3Cu2P4HO14
1.0
5.262 -0.009 -0.011
-2.513 4.916 -0.008
-2.275 -1.292 12.419
K Cu P H O
3 2 4 1 14
Cartesian
-1.138 -0.646 6.209 K
1.687 -0.479 11.621 K
-1.213 4.094 0.778 K
-3.571 2.794 9.679 Cu
4.045 0.820 2.720 Cu
-0.915 1.215 10.436 P
1.389 2.399 1.963 P
-0.939 2.647 8.038 P
1.413 0.967 4.361 P
0.237 1.807 6.200 H
-0.894 1.233 8.818 O
1.368 2.382 3.582 O
0.368 1.933 10.875 O
0.106 1.681 1.525 O
-2.164 2.006 10.836 O
2.638 1.609 1.563 O
-0.949 -0.217 10.877 O
1.423 3.832 1.522 O
0.230 3.466 8.557 O
0.244 0.148 3.842 O
-2.287 3.277 8.302 O
2.761 0.338 4.097 O
-0.795 2.291 6.562 O
1.269 1.324 5.837 O
```

Calculated values
E_form ... -2.131 eV/atom
E ... -213.98 eV/cell
Total magnetic moment ... 2.00 μB/cell

(7)
A geometry-optimized DyPO4 structure, computed with meta-GGA r2SCAN.

POSCAR file:
```
DyPO4
1.0
5.495 0.003 -1.583
-3.111 4.530 -1.583
-0.002 -0.003 5.719
Dy P O
2 2 8
Cartesian
-2.036 3.963 -0.154 Dy
4.418 0.567 2.706 Dy
0.115 2.830 2.706 P
2.267 1.700 -0.154 P
3.191 1.629 -1.381 O
1.455 3.551 2.925 O
-0.467 3.551 1.479 O
2.102 3.213 0.066 O
0.927 0.979 -0.373 O
-0.809 2.901 3.933 O
0.280 1.317 2.486 O
2.849 0.979 1.074 O
```

Calculated values
E_form ... -3.347 eV/atom
E ... -169.91 eV/cell
Total magnetic moment ... 0.00 μB/cell

(8)
A geometry-optimized ScGaCu structure, computed with meta-GGA r2SCAN.

POSCAR file:
```
ScGaCu
1.0
-4.150 0.002 -0.002
-2.072 -3.286 3.677
2.075 3.228 3.628
Sc Ga Cu
2 2 2
Cartesian
-4.145 -1.610 3.402 Sc
-0.002 1.555 3.901 Sc
0.002 0.307 1.224 Ga
-4.149 -0.363 6.078 Ga
-2.074 0.262 2.449 Cu
-2.073 -0.317 4.854 Cu
```

Calculated values
E_form ... -0.522 eV/atom
E ... -70.51 eV/cell
Total magnetic moment ... 0.00 μB/cell

(9)
A geometry-optimized Na3HS2O8 structure, computed with meta-GGA r2SCAN.

POSCAR file:
```
Na3HS2O8
1.0
8.631 0.006 0.008
-2.894 8.542 0.000
-0.011 -0.004 9.575
Na H S O
12 4 8 32
Cartesian
5.743 8.504 0.020 Na
2.875 4.226 0.010 Na
5.569 2.307 0.055 Na
2.954 1.057 8.103 Na
7.189 4.226 4.800 Na
1.424 8.494 4.800 Na
1.625 1.882 4.838 Na
4.234 3.135 3.313 Na
0.175 6.152 9.568 Na
2.791 7.410 1.495 Na
4.114 6.574 4.787 Na
1.507 5.332 6.308 Na
5.183 7.506 7.052 H
6.623 3.235 7.345 H
0.564 0.954 2.557 H
-0.881 5.225 2.259 H
-1.279 7.277 6.640 S
4.300 3.413 6.515 S
0.164 3.005 7.747 S
2.889 0.776 1.728 S
7.021 1.177 2.970 S
1.444 5.044 3.093 S
5.574 5.451 1.857 S
2.851 7.685 7.882 S
-1.216 7.406 8.102 O
-0.664 8.442 6.004 O
5.863 7.265 6.244 O
-0.704 6.035 6.162 O
3.679 4.659 6.070 O
5.780 3.549 6.361 O
4.003 3.145 7.932 O
3.838 2.289 5.682 O
0.233 3.142 6.286 O
0.772 4.169 8.391 O
7.306 2.983 8.153 O
0.745 1.763 8.220 O
0.610 8.071 1.276 O
1.409 0.650 1.571 O
3.187 1.036 3.146 O
3.357 1.902 0.900 O
6.958 1.048 1.507 O
6.410 0.009 3.605 O
-0.122 1.196 3.366 O
6.439 2.417 3.446 O
2.054 3.794 3.541 O
-0.038 4.919 3.240 O
1.750 5.312 1.678 O
1.907 6.166 3.930 O
5.505 5.318 3.319 O
4.964 4.286 1.216 O
-1.568 5.468 1.450 O
4.996 6.693 1.381 O
5.131 0.388 8.337 O
4.330 7.806 8.044 O
2.557 7.429 6.463 O
2.377 6.555 8.703 O
```

Calculated values
E_form ... -1.819 eV/atom
E ... -413.82 eV/cell
Total magnetic moment ... 0.00 μB/cell

(10)
A geometry-optimized Hf2S structure, computed with meta-GGA r2SCAN.

POSCAR file:
```
Hf2S
1.0
3.374 0.000 0.000
-1.687 2.922 0.000
0.000 0.000 11.717
Hf S
4 2
Cartesian
1.687 0.974 10.543 Hf
0.000 1.948 4.685 Hf
1.687 0.974 7.033 Hf
0.000 1.948 1.174 Hf
0.000 0.000 8.788 S
0.000 0.000 2.929 S
```

Calculated values
E_form ... -1.171 eV/atom
E ... -203.70 eV/cell
Total magnetic moment ... 0.00 μB/cell

(11)
A geometry-optimized H structure, computed with meta-GGA r2SCAN.

POSCAR file:
```
H
1.0
-0.224 -1.081 2.956
-2.387 2.063 0.071
-0.195 -2.201 -2.253
H
2
Cartesian
-2.376 0.893 2.755 H
-0.235 0.088 0.273 H
```

Calculated values
E_form ... 0.003 eV/atom
E ... -6.90 eV/cell
Total magnetic moment ... 0.00 μB/cell
Offset from the most stable computed form ... 3 meV/atom

(12)
A geometry-optimized TeI7 structure, computed with meta-GGA r2SCAN.

POSCAR file:
```
TeI7
1.0
12.029 0.000 0.000
0.000 12.029 0.000
0.000 0.000 6.197
Te I
2 14
Cartesian
6.015 0.000 4.592 Te
0.000 6.014 1.607 Te
6.015 2.931 4.413 I
6.015 9.098 4.413 I
8.938 0.000 4.839 I
3.091 0.000 4.839 I
0.000 3.090 1.358 I
0.000 8.939 1.358 I
9.096 6.014 1.786 I
2.933 6.014 1.786 I
6.015 0.000 1.496 I
0.000 6.014 4.701 I
0.000 0.000 4.639 I
6.015 6.014 4.652 I
6.015 6.014 1.541 I
0.000 0.000 1.554 I
```

Calculated values
E_form ... 0.067 eV/atom
E ... -393.59 eV/cell
Total magnetic moment ... 0.00 μB/cell

(13)
A geometry-optimized YCoO3 structure, computed with meta-GGA r2SCAN.

POSCAR file:
```
YCoO3
1.0
-3.241 -0.766 -3.923
-0.093 -5.314 1.113
-5.721 1.047 4.521
Y Co O
4 4 12
Cartesian
-4.436 -4.174 4.355 Y
-5.892 -1.872 1.980 Y
-3.162 -3.161 -0.269 Y
-4.618 -0.859 -2.644 Y
-7.341 0.664 2.559 Co
-4.481 0.141 0.299 Co
-0.046 -2.657 0.557 Co
-2.907 -2.133 2.817 Co
-2.969 -4.814 -2.049 O
-4.199 -3.381 2.063 O
-4.855 -1.651 -0.352 O
-6.085 -0.219 3.760 O
-6.495 -2.961 3.877 O
-5.264 -4.394 -0.235 O
-3.790 -0.638 1.946 O
-2.559 -2.072 -2.166 O
-6.230 0.180 1.077 O
-1.790 -2.322 1.273 O
-2.824 -5.212 0.634 O
-7.264 -2.711 0.438 O
```

Calculated values
E_form ... -2.626 eV/atom
E ... -258.39 eV/cell
Total magnetic moment ... 0.00 μB/cell

(14)
A geometry-optimized NpIO structure, computed with meta-GGA r2SCAN.

POSCAR file:
```
NpIO
1.0
-1.152 2.601 2.940
-2.141 -2.985 1.802
7.450 -2.334 4.985
Np I O
2 2 2
Cartesian
0.088 -0.382 1.795 Np
4.069 -2.337 7.931 Np
4.245 -1.684 4.577 I
-0.088 -1.034 5.150 I
-1.399 1.205 2.656 O
-1.894 -1.588 2.086 O
```

Calculated values
E_form ... -2.608 eV/atom
E ... -242.76 eV/cell
Total magnetic moment ... 8.00 μB/cell

(15)
A geometry-optimized LaEr3S6 structure, computed with meta-GGA r2SCAN.

POSCAR file:
```
LaEr3S6
1.0
-3.948 -0.492 -0.103
0.385 -5.142 9.757
-1.168 7.658 8.206
La Er S
2 6 12
Cartesian
-3.689 2.959 11.897 La
-1.043 -0.935 5.962 La
-0.672 -4.341 8.002 Er
-3.376 -0.123 14.608 Er
-1.356 2.148 3.252 Er
-3.188 -0.619 9.755 Er
-1.545 2.644 8.105 Er
-4.060 6.365 9.858 Er
-3.135 -1.567 12.272 S
-1.597 3.592 5.587 S
-3.720 3.819 9.003 S
-1.012 -1.794 8.856 S
-3.624 1.410 16.755 S
-1.108 0.614 1.104 S
-2.765 -3.287 6.293 S
-1.967 5.312 11.567 S
-3.142 0.215 4.048 S
-1.590 1.810 13.812 S
-3.278 0.613 7.360 S
-1.454 1.411 10.499 S
```

Calculated values
E_form ... -2.431 eV/atom
E ... -408.07 eV/cell
Total magnetic moment ... 0.00 μB/cell

(16)
A geometry-optimized Zr5Sb3 structure, computed with meta-GGA r2SCAN.

POSCAR file:
```
Zr5Sb3
1.0
-3.538 -4.131 5.322
6.649 1.557 5.629
-5.079 8.906 3.537
Zr Sb
20 12
Cartesian
0.793 3.640 8.492 Zr
-1.794 -3.598 6.593 Zr
-2.761 2.692 5.995 Zr
-0.173 9.929 7.894 Zr
-0.035 6.681 8.629 Zr
-4.958 3.537 8.356 Zr
-1.933 -0.349 5.859 Zr
2.990 2.794 6.131 Zr
-0.416 2.247 3.348 Zr
1.534 0.270 8.549 Zr
-1.552 4.085 11.139 Zr
-3.501 6.062 5.938 Zr
-0.563 4.794 5.517 Zr
-3.586 6.409 10.201 Zr
1.175 2.142 11.154 Zr
-0.961 -0.681 2.103 Zr
-1.404 1.538 8.971 Zr
1.619 -0.077 4.287 Zr
-3.143 4.190 3.333 Zr
-1.007 7.013 12.384 Zr
2.002 5.479 6.555 Sb
-5.372 6.633 7.990 Sb
-3.970 0.853 7.932 Sb
3.405 -0.302 6.497 Sb
-4.357 7.062 3.301 Sb
1.153 5.244 10.993 Sb
-0.832 -1.485 8.459 Sb
0.100 1.842 6.221 Sb
2.389 -0.731 11.186 Sb
-3.121 1.087 3.494 Sb
-1.136 7.817 6.028 Sb
-2.068 4.490 8.266 Sb
```

Calculated values
E_form ... -0.775 eV/atom
E ... -788.27 eV/cell
Total magnetic moment ... 0.00 μB/cell
Offset from the most stable computed form ... 0 meV/atom

(17)
A geometry-optimized EuGa4Au3 structure, computed with meta-GGA r2SCAN.

POSCAR file:
```
EuGa4Au3
1.0
4.315 0.000 0.000
0.000 4.315 0.000
0.000 0.000 8.688
Eu Ga Au
1 4 3
Cartesian
0.000 0.000 4.344 Eu
0.000 2.158 1.512 Ga
0.000 2.158 7.176 Ga
2.158 0.000 1.512 Ga
2.158 0.000 7.176 Ga
2.158 2.158 2.967 Au
2.158 2.158 5.721 Au
0.000 0.000 0.000 Au
```

Calculated values
E_form ... -0.501 eV/atom
E ... -240.06 eV/cell
Total magnetic moment ... 6.94 μB/cell

(18)
A geometry-optimized CeZn5 structure, computed with meta-GGA r2SCAN.

POSCAR file:
```
CeZn5
1.0
2.666 -4.618 0.000
2.666 4.618 0.000
0.000 0.000 4.227
Ce Zn
1 5
Cartesian
0.000 0.000 0.000 Ce
1.333 2.309 2.114 Zn
2.666 1.539 0.000 Zn
2.666 -1.539 0.000 Zn
1.333 -2.309 2.114 Zn
2.666 0.000 2.114 Zn
```

Calculated values
E_form ... -0.306 eV/atom
E ... -77.23 eV/cell
Total magnetic moment ... 1.02 μB/cell

(19)
A geometry-optimized Cr3Pt structure, computed with meta-GGA r2SCAN.

POSCAR file:
```
Cr3Pt
1.0
3.104 0.700 -4.298
-4.163 -3.349 -0.225
-2.386 3.048 -1.226
Cr Pt
6 2
Cartesian
-1.381 -0.140 -1.020 Cr
-1.963 -1.594 -3.504 Cr
-3.667 -1.978 -1.144 Cr
-2.063 0.539 -4.729 Cr
-1.482 1.993 -2.246 Cr
0.222 2.377 -4.605 Cr
-3.530 0.287 -2.502 Pt
0.085 0.112 -3.247 Pt
```

Calculated values
E_form ... 0.224 eV/atom
E ... -191.63 eV/cell
Total magnetic moment ... 0.01 μB/cell